## LiGdSe2 (meta-GGA r2SCAN)

Data for an optimized crystal structure of LiGdSe2.

```
4
Lattice="-0.686 -4.818 -4.868 0.519 -6.713 -1.433 -3.416 -5.658 -1.922" Properties=species:S:1:pos:R:3 pbc="T T T"
Li -1.791 -8.595 -4.111
Gd 0.000 0.000 0.000
Se -2.693 -12.920 -6.180
Se -0.890 -4.269 -2.042
```

Calculated values
- space group = R-3m (166)
- calculated volume (Å³/atom) = 23.561


## HoMg2Sc (meta-GGA r2SCAN)

Data for an optimized crystal structure of HoMg2Sc.

```
4
Lattice="-4.415 0.505 -2.721 -3.612 3.439 1.510 -0.844 4.299 -2.821" Properties=species:S:1:pos:R:3 pbc="T T T"
Sc 0.000 0.000 0.000
Mg -6.653 6.182 -3.024
Mg -2.218 2.061 -1.008
Ho -4.435 4.122 -2.016
```

Calculated values
- space group = Fm-3m (225)
- calculated volume (Å³/atom) = 25.008


## HoSnGe (meta-GGA r2SCAN)

Data for an optimized crystal structure of HoSnGe.

```
6
Lattice="2.106 -8.268 0.000 2.106 8.268 0.000 0.000 0.000 4.028" Properties=species:S:1:pos:R:3 pbc="T T T"
Ho 2.106 -6.696 3.021
Ho 2.106 6.696 1.007
Ge 2.106 0.842 1.007
Ge 2.106 -0.842 3.021
Sn 2.106 4.003 3.021
Sn 2.106 -4.003 1.007
```

Calculated values
- space group = Cmcm (63)
- calculated volume (Å³/atom) = 23.374


## ThP2 (meta-GGA r2SCAN)

Data for an optimized crystal structure of ThP2.

```
12
Lattice="-1.571 1.944 2.948 -1.811 -6.263 3.163 8.285 -0.125 4.496" Properties=species:S:1:pos:R:3 pbc="T T T"
P 0.218 -2.014 2.710
P 3.314 -2.199 4.482
P 4.104 0.724 5.509
P 0.799 -5.168 5.099
P 5.908 -5.383 7.963
P -1.005 0.939 2.645
P 4.685 -2.430 7.898
P 1.589 -2.245 6.126
Th 3.572 -4.604 6.205
Th 1.331 0.160 4.403
Th -1.176 -2.947 5.116
Th 6.079 -1.497 5.492
```

Calculated values
- space group = Pnma (62)
- calculated volume (Å³/atom) = 22.003


| no. | M_tot (μB per atom) | calculated formation energy (eV per atom) |
| --- | --- | --- |
| 1 | 1.75 | -1.9264 |
| 2 | 0.00 | -0.0555 |
| 3 | 0.00 | -0.6617 |
| 4 | 0.00 | -1.2195 |